1.
Computed, not measured: a geometry-optimized CrAgO4 structure at the PBE+U level of DFT.

Unit cell a=8.369 b=5.508 c=8.833 alpha=55.03 beta=90.00 gamma=90.00
Atoms (fractional coordinates):
Cr  0.687  0.390  0.843
Cr  0.187  0.610  0.657
Cr  0.813  0.390  0.343
Cr  0.313  0.610  0.157
Ag  0.528  0.915  0.336
Ag  0.028  0.085  0.164
Ag  0.972  0.915  0.836
Ag  0.472  0.085  0.664
O  0.774  0.729  0.286
O  0.606  0.417  0.658
O  0.860  0.186  0.908
O  0.058  0.770  0.487
O  0.558  0.230  0.013
O  0.360  0.814  0.592
O  0.106  0.583  0.842
O  0.726  0.729  0.786
O  0.274  0.271  0.214
O  0.894  0.417  0.158
O  0.640  0.186  0.408
O  0.442  0.770  0.987
O  0.942  0.230  0.513
O  0.140  0.814  0.092
O  0.394  0.583  0.342
O  0.226  0.271  0.714

## Properties
E (MP2020) (eV per atom): -6.549
Symmetry: No. 14
Energy above the most stable polymorph in this dataset (eV/atom): 0.028

2.
Computed, not measured: a geometry-optimized MgFe6O9F3 structure at the PBE+U level of DFT.

Unit cell a=7.177 b=5.878 c=5.715 alpha=80.70 beta=73.75 gamma=70.81
Atoms (fractional coordinates):
Mg  0.503  0.497  0.982
Fe  0.841  0.682  0.667
Fe  0.317  0.747  0.593
Fe  0.666  0.313  0.376
Fe  0.148  0.337  0.342
Fe  0.498  0.979  0.030
Fe  0.997  0.937  0.060
O  0.305  0.847  0.926
O  0.952  0.202  0.273
O  0.616  0.544  0.607
O  0.687  0.148  0.093
O  0.031  0.806  0.750
O  0.382  0.476  0.371
O  0.690  0.668  0.010
O  0.337  0.012  0.361
O  0.983  0.676  0.319
F  0.309  0.331  0.972
F  0.638  0.033  0.643
F  0.016  0.337  0.695

## Properties
E (MP2020) (eV per atom): -7.248
Symmetry: No. 1
Energy above the most stable polymorph in this dataset (eV/atom): 0.046

3.
Computed, not measured: a geometry-optimized La5Fe4NiO15 structure at the PBE+U level of DFT.

Unit cell a=5.564 b=20.194 c=5.625 alpha=98.00 beta=90.00 gamma=97.92
Atoms (fractional coordinates):
La  0.452  0.903  0.443
La  0.250  0.499  0.240
La  0.850  0.701  0.840
La  0.050  0.100  0.040
La  0.648  0.297  0.638
La  0.550  0.100  0.560
La  0.350  0.701  0.360
La  0.952  0.903  0.962
La  0.148  0.297  0.157
La  0.750  0.499  0.760
Fe  0.700  0.399  0.200
Fe  0.300  0.600  0.800
Fe  0.900  0.801  0.400
Fe  0.599  0.199  0.100
Fe  0.199  0.399  0.699
Fe  0.800  0.600  0.300
Fe  0.401  0.801  0.901
Fe  0.001  0.001  0.500
Ni  0.500  0.000  0.000
Ni  0.100  0.200  0.600
O  0.743  0.982  0.244
O  0.540  0.580  0.040
O  0.140  0.780  0.640
O  0.343  0.182  0.845
O  0.940  0.380  0.440
O  0.761  0.018  0.755
O  0.560  0.620  0.560
O  0.159  0.820  0.160
O  0.362  0.218  0.356
O  0.960  0.420  0.960
O  0.257  0.018  0.755
O  0.060  0.620  0.560
O  0.660  0.820  0.160
O  0.857  0.218  0.356
O  0.460  0.420  0.960
O  0.238  0.982  0.244
O  0.040  0.580  0.040
O  0.640  0.780  0.640
O  0.839  0.182  0.845
O  0.441  0.380  0.440
O  0.550  0.101  0.136
O  0.151  0.301  0.736
O  0.750  0.500  0.338
O  0.350  0.700  0.937
O  0.950  0.900  0.537
O  0.650  0.300  0.063
O  0.250  0.500  0.663
O  0.850  0.700  0.262
O  0.449  0.899  0.864
O  0.050  0.099  0.464

## Properties
E (MP2020) (eV per atom): -8.295
Symmetry: No. 12

4.
Computed, not measured: a geometry-optimized Sr2ZnWO6 structure at the PBE+U level of DFT.

Unit cell a=8.058 b=8.063 c=8.071 alpha=89.99 beta=89.94 gamma=90.00
Atoms (fractional coordinates):
Sr  0.750  0.491  0.490
Sr  0.250  0.509  0.510
Sr  0.751  0.991  0.487
Sr  0.249  0.009  0.513
Sr  0.750  0.491  0.987
Sr  0.250  0.509  0.013
Sr  0.251  0.018  0.009
Sr  0.749  0.982  0.991
Zn  0.000  0.249  0.751
Zn  0.000  0.751  0.249
Zn  0.501  0.251  0.251
Zn  0.499  0.749  0.749
W  0.000  0.252  0.250
W  0.000  0.748  0.750
W  0.502  0.248  0.751
W  0.498  0.752  0.249
O  0.968  0.014  0.218
O  0.032  0.986  0.782
O  0.030  0.280  0.012
O  0.970  0.720  0.988
O  0.033  0.491  0.280
O  0.967  0.509  0.720
O  0.972  0.222  0.490
O  0.028  0.778  0.510
O  0.761  0.290  0.229
O  0.239  0.710  0.771
O  0.740  0.220  0.785
O  0.260  0.780  0.215
O  0.761  0.783  0.725
O  0.239  0.217  0.275
O  0.530  0.991  0.225
O  0.470  0.009  0.775
O  0.470  0.277  0.990
O  0.530  0.723  0.010
O  0.532  0.223  0.511
O  0.468  0.777  0.489
O  0.467  0.512  0.274
O  0.533  0.488  0.726
O  0.738  0.728  0.282
O  0.262  0.272  0.718

## Properties
E (MP2020) (eV per atom): -7.412
Symmetry: No. 2

5.
Computed, not measured: a geometry-optimized ThV2TeO12 structure at the PBE+U level of DFT.

Unit cell a=11.717 b=12.729 c=13.272 alpha=90.00 beta=90.00 gamma=90.00
Atoms (fractional coordinates):
Th  0.941  0.343  0.328
Th  0.559  0.843  0.672
Th  0.441  0.657  0.172
Th  0.059  0.157  0.828
Th  0.059  0.657  0.672
Th  0.441  0.157  0.328
Th  0.559  0.343  0.828
Th  0.941  0.843  0.172
V  0.577  0.420  0.296
V  0.923  0.920  0.704
V  0.077  0.580  0.204
V  0.423  0.080  0.796
V  0.423  0.580  0.704
V  0.077  0.080  0.296
V  0.923  0.420  0.796
V  0.577  0.920  0.204
V  0.184  0.435  0.502
V  0.316  0.935  0.498
V  0.684  0.565  0.998
V  0.816  0.065  0.002
V  0.816  0.565  0.498
V  0.684  0.065  0.502
V  0.316  0.435  0.002
V  0.184  0.935  0.998
Te  0.774  0.575  0.242
Te  0.726  0.075  0.758
Te  0.274  0.425  0.258
Te  0.226  0.925  0.742
Te  0.226  0.425  0.758
Te  0.274  0.925  0.242
Te  0.726  0.575  0.742
Te  0.774  0.075  0.258
O  0.557  0.420  0.418
O  0.943  0.920  0.582
O  0.057  0.580  0.082
O  0.443  0.080  0.918
O  0.443  0.580  0.582
O  0.057  0.080  0.418
O  0.943  0.420  0.918
O  0.557  0.920  0.082
O  0.554  0.293  0.259
O  0.946  0.793  0.741
O  0.054  0.707  0.241
O  0.446  0.207  0.759
O  0.446  0.707  0.741
O  0.054  0.207  0.259
O  0.946  0.293  0.759
O  0.554  0.793  0.241
O  0.431  0.473  0.242
O  0.069  0.973  0.758
O  0.931  0.527  0.258
O  0.569  0.027  0.742
O  0.569  0.527  0.758
O  0.931  0.027  0.242
O  0.069  0.473  0.742
O  0.431  0.973  0.258
O  0.608  0.569  0.239
O  0.892  0.069  0.761
O  0.108  0.431  0.261
O  0.392  0.931  0.739
O  0.392  0.431  0.761
O  0.108  0.931  0.239
O  0.892  0.569  0.739
O  0.608  0.069  0.261
O  0.743  0.428  0.280
O  0.757  0.928  0.720
O  0.243  0.572  0.220
O  0.257  0.072  0.780
O  0.257  0.572  0.720
O  0.243  0.072  0.280
O  0.757  0.428  0.780
O  0.743  0.928  0.220
O  0.085  0.349  0.455
O  0.415  0.849  0.545
O  0.585  0.651  0.045
O  0.915  0.151  0.955
O  0.915  0.651  0.545
O  0.585  0.151  0.455
O  0.415  0.349  0.955
O  0.085  0.849  0.045
O  0.123  0.551  0.533
O  0.377  0.051  0.467
O  0.623  0.449  0.967
O  0.877  0.949  0.033
O  0.877  0.449  0.467
O  0.623  0.949  0.533
O  0.377  0.551  0.033
O  0.123  0.051  0.967
O  0.241  0.383  0.615
O  0.259  0.883  0.385
O  0.741  0.617  0.885
O  0.759  0.117  0.115
O  0.759  0.617  0.385
O  0.741  0.117  0.615
O  0.259  0.383  0.115
O  0.241  0.883  0.885
O  0.284  0.459  0.402
O  0.216  0.959  0.598
O  0.784  0.541  0.098
O  0.716  0.041  0.902
O  0.716  0.541  0.598
O  0.784  0.041  0.402
O  0.216  0.459  0.902
O  0.284  0.959  0.098
O  0.807  0.716  0.210
O  0.693  0.216  0.790
O  0.307  0.284  0.290
O  0.193  0.784  0.710
O  0.193  0.284  0.790
O  0.307  0.784  0.210
O  0.693  0.716  0.710
O  0.807  0.216  0.290
O  0.957  0.220  0.486
O  0.543  0.720  0.514
O  0.457  0.780  0.014
O  0.043  0.280  0.986
O  0.043  0.780  0.514
O  0.457  0.280  0.486
O  0.543  0.220  0.986
O  0.957  0.720  0.014
O  0.893  0.313  0.144
O  0.607  0.813  0.856
O  0.393  0.687  0.356
O  0.107  0.187  0.644
O  0.107  0.687  0.856
O  0.393  0.187  0.144
O  0.607  0.313  0.644
O  0.893  0.813  0.356

## Properties
E (MP2020) (eV per atom): -7.329
Symmetry: No. 61

6.
Computed, not measured: a geometry-optimized MgCrF6 structure at the PBE+U level of DFT.

Unit cell a=5.246 b=5.246 c=5.398 alpha=60.93 beta=60.93 gamma=60.00
Atoms (fractional coordinates):
Mg  0.500  0.500  0.500
Cr  0.000  0.000  0.000
F  0.674  0.238  0.241
F  0.846  0.674  0.241
F  0.762  0.154  0.759
F  0.154  0.326  0.759
F  0.326  0.762  0.759
F  0.238  0.846  0.241

## Properties
E (MP2020) (eV per atom): -5.960
Symmetry: No. 148

7.
Computed, not measured: a geometry-optimized Li4TiFe3O8 structure at the PBE+U level of DFT.

Unit cell a=5.986 b=5.986 c=5.997 alpha=59.88 beta=59.88 gamma=60.30
Atoms (fractional coordinates):
Li  0.500  0.500  0.500
Li  0.000  0.000  0.500
Li  0.000  0.500  0.500
Li  0.500  0.000  0.500
Ti  0.000  0.000  0.000
Fe  0.500  0.500  0.000
Fe  0.500  0.000  0.000
Fe  0.000  0.500  0.000
O  0.255  0.255  0.225
O  0.761  0.761  0.232
O  0.777  0.238  0.231
O  0.745  0.745  0.775
O  0.238  0.777  0.231
O  0.239  0.239  0.768
O  0.223  0.762  0.769
O  0.762  0.223  0.769

## Properties
E (MP2020) (eV per atom): -7.279
Symmetry: No. 12
Energy above the most stable polymorph in this dataset (eV/atom): 0.000

8.
Computed, not measured: a geometry-optimized Li2VGeO5 structure at the PBE+U level of DFT.

Unit cell a=4.607 b=9.332 c=9.332 alpha=90.00 beta=90.00 gamma=90.00
Atoms (fractional coordinates):
Li  0.000  0.250  0.250
Li  0.000  0.750  0.750
Li  0.000  0.000  0.000
Li  0.000  0.500  0.500
Li  0.000  0.500  0.000
Li  0.000  0.000  0.500
Li  0.000  0.250  0.750
Li  0.000  0.750  0.250
V  0.595  0.750  0.500
V  0.405  0.250  0.500
V  0.595  0.250  0.000
V  0.405  0.750  0.000
Ge  0.500  0.500  0.250
Ge  0.500  0.000  0.750
Ge  0.500  0.500  0.750
Ge  0.500  0.000  0.250
O  0.230  0.250  0.000
O  0.230  0.750  0.500
O  0.770  0.750  0.000
O  0.770  0.250  0.500
O  0.733  0.393  0.143
O  0.733  0.893  0.643
O  0.733  0.607  0.643
O  0.733  0.107  0.143
O  0.733  0.393  0.857
O  0.733  0.893  0.357
O  0.733  0.607  0.357
O  0.733  0.107  0.857
O  0.267  0.607  0.857
O  0.267  0.107  0.357
O  0.267  0.393  0.643
O  0.267  0.893  0.143
O  0.267  0.393  0.357
O  0.267  0.893  0.857
O  0.267  0.607  0.143
O  0.267  0.107  0.643

## Properties
E (MP2020) (eV per atom): -7.076

| no. | ΔH_f (0 K) (eV per atom) | raw total energy (eV per formula unit) | ρ (g cm⁻³) |
| --- | --- | --- | --- |
| 1 | -1.169 | -34.55 | 4.46 |
| 2 | -1.843 | -116.61 | 4.27 |
| 3 | -2.753 | -185.50 | 6.52 |
| 4 | -2.684 | -65.56 | 6.59 |
| 5 | -1.823 | -105.62 | 4.39 |
| 6 | -3.118 | -42.91 | 2.97 |
| 7 | -2.246 | -104.20 | 4.05 |
| 8 | -2.380 | -58.55 | 3.60 |